1.
Computed, not measured: a relaxed structure of CrSb2O6 at the PBE with a Hubbard U level of DFT.

extended XYZ file:
```
36
Lattice="-0.001 4.766 0.000 -0.186 0.000 19.178 4.787 -0.001 0.046" Properties=species:S:1:pos:R:3 pbc="T T T"
O 3.264 3.318 3.235
O 1.478 1.438 0.017
O 0.793 3.833 11.187
Sb 2.377 2.383 1.624
O 3.233 3.315 6.412
Sb -0.123 0.001 12.783
Sb 2.223 2.381 17.599
O 1.366 1.449 12.806
Sb 4.756 0.000 3.241
Sb -0.156 4.765 15.983
O 3.141 3.315 16.001
O 3.826 0.943 4.831
O 1.337 1.447 15.983
O 0.821 3.832 8.014
O 0.728 3.833 17.603
Sb -0.063 4.765 6.394
O 1.430 1.448 6.395
O 0.774 3.822 14.391
O 3.808 0.930 8.043
Cr 2.254 2.382 14.406
Cr 4.600 4.765 19.223
O 3.307 3.326 0.034
O 3.214 3.326 9.624
Cr 4.694 -0.001 9.634
O 3.870 0.934 1.627
O 1.459 1.449 3.217
Sb 2.284 2.383 11.214
O 3.171 3.318 12.823
Sb 2.315 2.382 8.010
O 3.716 0.930 17.632
O 0.885 3.833 1.598
O 1.386 1.439 9.606
O 3.777 0.934 11.216
Cr 2.347 2.383 4.818
O 0.867 3.822 4.802
O 3.734 0.943 14.420
```

Summary:
energy above the lowest structure with this stoichiometry = 0 meV/atom
total moment = 0.0 Bohr magnetons per cell



2.
Computed, not measured: a relaxed structure of CrSbO4 at the PBE with a Hubbard U level of DFT.

extended XYZ file:
```
6
Lattice="5.068 0.000 0.000 0.000 3.121 0.000 -1.868 0.000 5.008" Properties=species:S:1:pos:R:3 pbc="T T T"
Cr 0.000 0.000 0.000
Sb -0.934 1.561 2.504
O 0.557 1.561 1.190
O -0.283 0.000 3.677
O 3.483 0.000 1.331
O 2.643 1.561 3.818
```

Summary:
electronic total energy = -40.828 eV per cell
crystal system = monoclinic
total moment = 3.0 Bohr magnetons per cell



3.
Computed, not measured: a relaxed structure of Cr3SbO8 at the PBE with a Hubbard U level of DFT.

extended XYZ file:
```
24
Lattice="2.992 -5.125 0.000 2.992 5.125 0.000 -0.227 0.000 9.275" Properties=species:S:1:pos:R:3 pbc="T T T"
Cr 2.878 4.278 4.637
Cr 2.956 0.876 0.077
Cr 4.370 1.757 4.780
Cr 2.843 -0.876 4.714
Cr 2.992 -4.278 0.000
Cr 4.483 -1.757 0.143
Sb 1.448 1.671 2.661
Sb 1.334 -1.671 7.298
O 1.253 1.771 8.373
O 2.823 4.288 8.353
O 1.417 0.225 1.213
O 2.745 2.477 1.289
O 1.303 -0.225 5.850
O 3.040 2.697 5.879
O 1.367 -1.771 3.735
O 2.906 0.847 3.667
O 2.793 -0.847 8.304
O 4.316 1.740 8.369
O 2.632 -2.477 5.926
O 4.372 0.054 5.521
O 4.486 -0.054 0.884
O 3.154 -2.697 1.242
O 2.937 -4.288 3.715
O 4.430 -1.740 3.731
```

Summary:
electronic total energy = -169.899 eV per cell
crystal system = monoclinic
total moment = 14.0 Bohr magnetons per cell